CrH18I7N6: relaxed, PBE-GGA.

Cell: 8.0989 8.9412 9.6846 Å, 65.10 65.28 63.07°
Element x y z (fractional)
1 I 0.8128 0.3656 0.0089
2 I 0.0000 0.0000 0.0000
3 I 0.8365 0.7810 0.5460
4 I 0.1635 0.2190 0.4540
5 I 0.3974 0.0760 0.1292
6 I 0.1872 0.6344 0.9911
7 I 0.6026 0.9240 0.8708
8 H 0.5536 0.3885 0.7871
9 H 0.4374 0.8176 0.5095
10 H 0.7001 0.4981 0.6608
11 H 0.2439 0.7052 0.3322
12 H 0.7645 0.1824 0.4905
13 H 0.7292 0.6115 0.2129
14 H 0.4464 0.6115 0.2129
15 H 0.1409 0.4981 0.6608
16 H 0.2355 0.8176 0.5095
17 H 0.2813 0.2948 0.6678
18 H 0.7187 0.7052 0.3322
19 H 0.7561 0.2948 0.6678
20 H 0.2708 0.3885 0.7871
21 H 0.3012 0.7231 0.6744
22 H 0.2999 0.5019 0.3392
23 H 0.6988 0.2769 0.3256
24 H 0.5626 0.1824 0.4905
25 H 0.8591 0.5019 0.3392
26 N 0.3532 0.7401 0.5535
27 N 0.6468 0.2599 0.4465
28 N 0.7250 0.5897 0.3273
29 N 0.6420 0.4103 0.6727
30 N 0.3580 0.5897 0.3273
31 N 0.2750 0.4103 0.6727
32 Cr 0.5000 0.5000 0.5000

## Properties
The calculation puts the total magnetic moment at 3.00 μB/f.u. The total energy after the MP2020 corrections is -146.59 eV/cell.

=====

CaCeCd2: relaxed, PBE-GGA.

Cell: 5.4111 5.4111 5.4111 Å, 60.00 60.00 60.00°
Element x y z (fractional)
1 Ce 0.0000 0.0000 0.0000
2 Cd 0.2500 0.2500 0.2500
3 Cd 0.7500 0.7500 0.7500
4 Ca 0.5000 0.5000 0.5000

## Properties
The calculation puts the total energy at -10.807 eV per formula unit. The calculation puts the total magnetic moment at 0.95 μB/f.u.

=====

Mn9Fe2N8: relaxed, PBE-GGA.

Cell: 7.4573 4.0820 6.4944 Å, 90.00 73.30 74.12°
Element x y z (fractional)
1 Mn 0.6416 0.6792 0.4243
2 Mn 0.3584 0.3208 0.5757
3 Mn 0.0863 0.9568 0.7767
4 Mn 0.2876 0.8562 0.2911
5 Mn 0.7124 0.1438 0.7089
6 Mn 0.1962 0.4019 0.0287
7 Mn 0.8038 0.5981 0.9713
8 Mn 0.9137 0.0432 0.2233
9 Mn 0.0000 0.5000 0.5000
10 N 0.3557 0.8221 0.5707
11 N 0.0875 0.4563 0.7661
12 N 0.6443 0.1779 0.4293
13 N 0.7165 0.6418 0.7040
14 N 0.2835 0.3582 0.2960
15 N 0.1982 0.9009 0.0362
16 N 0.8018 0.0991 0.9638
17 N 0.9125 0.5437 0.2339
18 Fe 0.4406 0.7797 0.8191
19 Fe 0.5594 0.2203 0.1809

## Properties
The calculation puts the total magnetic moment at 21.08 μB/f.u. The total energy after the MP2020 corrections is -172.77 eV/cell.

=====

Er4In5S13: relaxed, PBE-GGA.

Cell: 3.8473 11.8474 21.4972 Å, 90.00 90.00 90.00°
Element x y z (fractional)
1 S 0.0000 0.6676 0.7437
2 S 0.5000 0.6546 0.1160
3 S 0.0000 0.7031 0.4724
4 S 0.0000 0.7969 0.9724
5 S 0.5000 0.6516 0.8652
6 S 0.0000 0.2031 0.0276
7 S 0.5000 0.1516 0.6348
8 S 0.0000 0.1676 0.7563
9 S 0.0000 0.0000 0.5000
10 S 0.5000 0.4205 0.7390
11 S 0.5000 0.3484 0.1348
12 S 0.5000 0.3454 0.8840
13 S 0.5000 0.4935 0.5954
14 S 0.5000 0.5065 0.4046
15 S 0.5000 0.9935 0.9046
16 S 0.5000 0.1546 0.3840
17 S 0.0000 0.8324 0.2437
18 S 0.0000 0.5000 0.0000
19 S 0.5000 0.8454 0.6160
20 S 0.0000 0.3324 0.2563
21 S 0.5000 0.8484 0.3652
22 S 0.5000 0.5795 0.2610
23 S 0.5000 0.9205 0.7610
24 S 0.5000 0.0065 0.0954
25 S 0.5000 0.0795 0.2390
26 S 0.0000 0.2969 0.5276
27 In 0.5000 0.6558 0.6711
28 In 0.5000 0.6550 0.9931
29 In 0.0000 0.5000 0.5000
30 In 0.5000 0.8450 0.4931
31 In 0.0000 0.0000 0.0000
32 In 0.5000 0.3450 0.0069
33 In 0.5000 0.1558 0.8289
34 In 0.5000 0.8442 0.1711
35 In 0.5000 0.3442 0.3289
36 In 0.5000 0.1550 0.5069
37 Er 0.0000 0.0147 0.3281
38 Er 0.0000 0.4853 0.8281
39 Er 0.0000 0.8280 0.8403
40 Er 0.0000 0.9853 0.6719
41 Er 0.0000 0.5147 0.1719
42 Er 0.0000 0.6720 0.3403
43 Er 0.0000 0.1720 0.1597
44 Er 0.0000 0.3280 0.6597

## Properties
The calculation puts the total magnetic moment at 0.00 μB/f.u. The total energy after the MP2020 corrections is -235.98 eV/cell.